The following is a DFT calculation (PBE) of crystalline Ce3Si6Pd20 at its relaxed geometry.

## Properties
- E_tot: -5.75 eV/atom
- Space-group type: No. 2
- E above lowest polymorph: 346 meV per atom
- Energy of formation: -0.44 eV per atom

a b c (Å): 5.3816 9.0720 11.7129
angles (deg): 68.18 88.69 79.71
Closest atoms and distances in Å follow each position.
Atoms (fractional coordinates):
1 Ce 0.0000 0.0000 0.0000  10 Pd 2.81-3.10
2 Ce 0.3358 0.6183 0.7564  5 Pd 2.63-2.92
3 Ce 0.6642 0.3817 0.2436  5 Pd 2.63-2.92
4 Si 0.0976 0.6042 0.2058  6 Pd 2.35-2.53
5 Si 0.2068 0.0282 0.6229  5 Pd 2.37-2.50, 1 Si 2.45
6 Si 0.3760 0.9844 0.2913  5 Pd 2.39-2.56, 1 Si 2.45
7 Si 0.6240 0.0156 0.7087  5 Pd 2.39-2.56, 1 Si 2.45
8 Si 0.7932 0.9718 0.3771  5 Pd 2.37-2.50, 1 Si 2.45
9 Si 0.9024 0.3958 0.7942  6 Pd 2.35-2.53
10 Pd 0.0487 0.8576 0.8211  2 Si 2.49-2.56, 1 Ce 2.77, 1 Pd 2.77
11 Pd 0.1190 0.4810 0.6098  1 Si 2.36
12 Pd 0.1196 0.1194 0.4075  3 Si 2.37-2.50
13 Pd 0.1407 0.3819 0.9645  1 Si 2.35
14 Pd 0.1752 0.7686 0.4276  2 Si 2.42-2.43
15 Pd 0.1799 0.1644 0.7688  2 Si 2.44-2.46, 1 Pd 2.64
16 Pd 0.3569 0.6201 0.0315  1 Si 2.42, 2 Pd 2.68-2.70
17 Pd 0.3666 0.7869 0.1920  2 Si 2.35-2.48
18 Pd 0.3866 0.4796 0.3985  1 Si 2.53, 1 Ce 2.63, 4 Pd 2.68-2.84
19 Pd 0.4624 0.1000 0.0786  1 Si 2.39
20 Pd 0.5376 0.9000 0.9214  1 Si 2.39
21 Pd 0.6134 0.5204 0.6015  1 Si 2.53, 1 Ce 2.63, 4 Pd 2.68-2.84
22 Pd 0.6334 0.2131 0.8080  2 Si 2.35-2.48
23 Pd 0.6431 0.3799 0.9685  1 Si 2.42, 2 Pd 2.68-2.70
24 Pd 0.8201 0.8356 0.2312  2 Si 2.44-2.46, 1 Pd 2.64
25 Pd 0.8248 0.2314 0.5724  2 Si 2.42-2.43
26 Pd 0.8593 0.6181 0.0355  1 Si 2.35
27 Pd 0.8804 0.8806 0.5925  3 Si 2.37-2.50
28 Pd 0.8810 0.5190 0.3902  1 Si 2.36
29 Pd 0.9513 0.1424 0.1789  2 Si 2.49-2.56, 1 Ce 2.77, 1 Pd 2.77